1.
VASP calculation (r²SCAN) on Rb4Mo5P2O22 after structural relaxation.

Lattice parameters (Å, degrees): 6.5371 19.8341 17.4450 90.00 90.00 90.00
Closest atoms and distances in Å follow each position.
Space group C222_1 (No. 20)
One atom of each set of equivalent atoms:
Rb (0.0000, 0.0829, 0.2500) [4 per cell]  6 O 2.82-2.97
Rb (0.0328, 0.2625, 0.9013) [8 per cell]  5 O 2.79-3.10
Rb (0.0377, 0.0000, 0.0000) [4 per cell]  8 O 3.05-3.31
Mo (0.0000, 0.2625, 0.2500) [4 per cell]  4 O 1.71-1.91
Mo (0.0034, 0.4759, 0.6431) [8 per cell]  3 O 1.71-1.91
Mo (0.0677, 0.3601, 0.0924) [8 per cell]  2 O 1.71
P (0.2193, 0.0915, 0.7660) [8 per cell]  4 O 1.50-1.59
O (0.0000, 0.1238, 0.7500) [4 per cell]  2 P 1.59
O (0.0000, 0.4553, 0.7500) [4 per cell]  2 Mo 1.91
O (0.0339, 0.4494, 0.4254) [8 per cell]  2 Mo 1.91-1.92
O (0.1072, 0.3147, 0.4594) [8 per cell]  1 Mo 1.71
O (0.1571, 0.2907, 0.1633) [8 per cell]  2 Mo 1.91-1.94
O (0.1678, 0.4168, 0.6078) [8 per cell]  1 Mo 1.71
O (0.1692, 0.3511, 0.3063) [8 per cell]  1 P 1.52
O (0.1753, 0.2085, 0.2897) [8 per cell]  1 Mo 1.71
O (0.1862, 0.4256, 0.1882) [8 per cell]  1 P 1.53
O (0.1975, 0.0300, 0.8150) [8 per cell]  1 P 1.50
O (0.2154, 0.1406, 0.5379) [8 per cell]  1 Mo 1.71
O (0.2319, 0.4463, 0.8831) [8 per cell]  1 Mo 1.71

Computed properties:
The size of the total moment is 0.000 μB per cell. The calculated formation energy comes out at -2.3110 eV per atom. Its theoretical density is 3.63 g/cm3.

2.
VASP calculation (r²SCAN) on RbMoP2O7 after structural relaxation.

Lattice parameters (Å, degrees): 7.5229 10.4157 8.4310 90.00 105.82 90.00
Closest atoms and distances in Å follow each position.
Space group P2_1/c (No. 14)
One atom of each set of equivalent atoms:
Rb (0.1860, 0.1799, 0.0550) [4 per cell]  7 O 2.86-3.17
Mo (0.2351, 0.5998, 0.2593) [4 per cell]  6 O 2.07-2.12
P (0.1298, 0.6000, 0.8274) [4 per cell]  4 O 1.49-1.61
P (0.4378, 0.6358, 0.6914) [4 per cell]  4 O 1.51-1.62
O (0.0024, 0.5012, 0.7217) [4 per cell]  1 P 1.52
O (0.0783, 0.7328, 0.7527) [4 per cell]  1 P 1.53
O (0.1356, 0.5945, 0.0054) [4 per cell]  1 P 1.49
O (0.3235, 0.6035, 0.5195) [4 per cell]  1 P 1.51
O (0.3335, 0.5670, 0.8128) [4 per cell]  2 P 1.61-1.62
O (0.3691, 0.0801, 0.7628) [4 per cell]  1 P 1.51
O (0.4503, 0.7217, 0.2338) [4 per cell]  1 P 1.52

Computed properties:
The size of the total moment is 12.000 μB per cell. The calculated formation energy comes out at -2.3520 eV per atom. Its theoretical density is 3.71 g/cm3.

3.
VASP calculation (r²SCAN) on Si4Mo2P4O23 after structural relaxation.

Lattice parameters (Å, degrees): 5.2318 8.4099 11.1920 77.53 77.82 73.19
Closest atoms and distances in Å follow each position.
Space group P-1 (No. 2)
One atom of each set of equivalent atoms:
Si (0.0592, 0.1838, 0.2158) [2 per cell]  4 O 1.60-1.62
Si (0.4412, 0.6882, 0.9264) [2 per cell]  4 O 1.59-1.64
Mo (0.2895, 0.2546, 0.6504) [2 per cell]  1 O 1.67
P (0.1592, 0.6881, 0.5501) [2 per cell]  4 O 1.50-1.58
P (0.2502, 0.8082, 0.1681) [2 per cell]  4 O 1.50-1.56
O (0.0008, 0.2595, 0.5564) [2 per cell]  1 P 1.52
O (0.0036, 0.7401, 0.1936) [2 per cell]  1 P 1.51
O (0.0295, 0.8266, 0.6361) [2 per cell]  1 P 1.58, 1 Si 1.61
O (0.1408, 0.5206, 0.6276) [2 per cell]  1 P 1.50
O (0.1690, 0.9935, 0.1861) [2 per cell]  1 P 1.54, 1 Si 1.62
O (0.1932, 0.7218, 0.8545) [2 per cell]  2 Si 1.59-1.60
O (0.2948, 0.2787, 0.1658) [2 per cell]  2 Si 1.60
O (0.3623, 0.8182, 0.0268) [2 per cell]  1 P 1.56, 1 Si 1.64
O (0.4105, 0.0460, 0.6758) [2 per cell]  1 Mo 1.67
O (0.4510, 0.6978, 0.5047) [2 per cell]  1 P 1.52
O (0.4699, 0.7063, 0.2414) [2 per cell]  1 P 1.50
O (0.5000, 0.5000, 0.0000) [1 per cell]  2 Si 1.59

Computed properties:
The size of the total moment is 2.000 μB per cell. The calculated formation energy comes out at -2.5535 eV per atom. Its theoretical density is 2.91 g/cm3.

Repeat the first record exactly.
VASP calculation (r²SCAN) on Rb4Mo5P2O22 after structural relaxation.

Lattice parameters (Å, degrees): 6.5371 19.8341 17.4450 90.00 90.00 90.00
Closest atoms and distances in Å follow each position.
Space group C222_1 (No. 20)
One atom of each set of equivalent atoms:
Rb (0.0000, 0.0829, 0.2500) [4 per cell]  6 O 2.82-2.97
Rb (0.0328, 0.2625, 0.9013) [8 per cell]  5 O 2.79-3.10
Rb (0.0377, 0.0000, 0.0000) [4 per cell]  8 O 3.05-3.31
Mo (0.0000, 0.2625, 0.2500) [4 per cell]  4 O 1.71-1.91
Mo (0.0034, 0.4759, 0.6431) [8 per cell]  3 O 1.71-1.91
Mo (0.0677, 0.3601, 0.0924) [8 per cell]  2 O 1.71
P (0.2193, 0.0915, 0.7660) [8 per cell]  4 O 1.50-1.59
O (0.0000, 0.1238, 0.7500) [4 per cell]  2 P 1.59
O (0.0000, 0.4553, 0.7500) [4 per cell]  2 Mo 1.91
O (0.0339, 0.4494, 0.4254) [8 per cell]  2 Mo 1.91-1.92
O (0.1072, 0.3147, 0.4594) [8 per cell]  1 Mo 1.71
O (0.1571, 0.2907, 0.1633) [8 per cell]  2 Mo 1.91-1.94
O (0.1678, 0.4168, 0.6078) [8 per cell]  1 Mo 1.71
O (0.1692, 0.3511, 0.3063) [8 per cell]  1 P 1.52
O (0.1753, 0.2085, 0.2897) [8 per cell]  1 Mo 1.71
O (0.1862, 0.4256, 0.1882) [8 per cell]  1 P 1.53
O (0.1975, 0.0300, 0.8150) [8 per cell]  1 P 1.50
O (0.2154, 0.1406, 0.5379) [8 per cell]  1 Mo 1.71
O (0.2319, 0.4463, 0.8831) [8 per cell]  1 Mo 1.71

Computed properties:
The size of the total moment is 0.000 μB per cell. The calculated formation energy comes out at -2.3110 eV per atom. Its theoretical density is 3.63 g/cm3.

The highest theoretical density belongs to which entry? RbMoP2O7